[1]
A plane-wave DFT calculation with PBE-GGA was carried out for a geometry-optimized CuAs7PS7Br structure.

abc: 13.724 9.812 14.169
angles: 83.46 90.00 90.00
Positions (direct):
Cu (0.671, 0.616, 0.286)
Cu (0.171, 0.384, 0.214)
Cu (0.329, 0.384, 0.714)
Cu (0.829, 0.616, 0.786)
As (0.551, 0.157, 0.298)
As (0.051, 0.843, 0.202)
As (0.449, 0.843, 0.702)
As (0.949, 0.157, 0.798)
As (0.400, 0.023, 0.347)
As (0.900, 0.977, 0.153)
As (0.600, 0.977, 0.653)
As (0.100, 0.023, 0.847)
As (0.445, 0.069, 0.174)
As (0.945, 0.931, 0.326)
As (0.555, 0.931, 0.826)
As (0.055, 0.069, 0.674)
As (0.756, 0.356, 0.163)
As (0.256, 0.644, 0.337)
As (0.244, 0.644, 0.837)
As (0.744, 0.356, 0.663)
As (0.861, 0.529, 0.052)
As (0.361, 0.471, 0.448)
As (0.139, 0.471, 0.948)
As (0.639, 0.529, 0.552)
As (0.613, 0.587, 0.009)
As (0.113, 0.413, 0.491)
As (0.387, 0.413, 0.991)
As (0.887, 0.587, 0.509)
As (0.672, 0.375, 0.927)
As (0.172, 0.625, 0.573)
As (0.328, 0.625, 0.073)
As (0.828, 0.375, 0.427)
P (0.589, 0.814, 0.288)
P (0.089, 0.186, 0.212)
P (0.411, 0.186, 0.712)
P (0.911, 0.814, 0.788)
S (0.665, 0.989, 0.318)
S (0.165, 0.011, 0.182)
S (0.335, 0.011, 0.682)
S (0.835, 0.989, 0.818)
S (0.470, 0.814, 0.383)
S (0.970, 0.186, 0.117)
S (0.530, 0.186, 0.617)
S (0.030, 0.814, 0.883)
S (0.526, 0.872, 0.155)
S (0.026, 0.128, 0.345)
S (0.474, 0.128, 0.845)
S (0.974, 0.872, 0.655)
S (0.618, 0.486, 0.164)
S (0.118, 0.514, 0.336)
S (0.382, 0.514, 0.836)
S (0.882, 0.486, 0.664)
S (0.698, 0.223, 0.056)
S (0.198, 0.777, 0.444)
S (0.302, 0.777, 0.944)
S (0.802, 0.223, 0.556)
S (0.833, 0.436, 0.911)
S (0.333, 0.564, 0.589)
S (0.167, 0.564, 0.089)
S (0.667, 0.436, 0.411)
S (0.754, 0.700, 0.016)
S (0.254, 0.300, 0.484)
S (0.246, 0.300, 0.984)
S (0.746, 0.700, 0.516)
Br (0.853, 0.645, 0.262)
Br (0.353, 0.355, 0.238)
Br (0.147, 0.355, 0.738)
Br (0.647, 0.645, 0.762)

Summary:
- Total magnetic moment: 0.00 μB per formula unit
- Volume: 27.9 Å³ per atom
- Energy of formation: -423 meV per atom

=====

[2]
A plane-wave DFT calculation with PBE-GGA was carried out for a geometry-optimized Ho4ZrAl15 structure.

abc: 4.208 4.208 21.102
angles: 90.00 90.00 90.00
Positions (direct):
Ho (0.000, 0.000, 0.198)
Ho (0.000, 0.000, 0.400)
Ho (0.000, 0.000, 0.600)
Ho (0.000, 0.000, 0.802)
Zr (0.000, 0.000, 0.000)
Al (0.500, 0.500, 0.000)
Al (0.500, 0.500, 0.198)
Al (0.500, 0.500, 0.399)
Al (0.500, 0.500, 0.601)
Al (0.500, 0.500, 0.802)
Al (0.500, 0.000, 0.097)
Al (0.500, 0.000, 0.299)
Al (0.500, 0.000, 0.500)
Al (0.500, 0.000, 0.701)
Al (0.500, 0.000, 0.903)
Al (0.000, 0.500, 0.097)
Al (0.000, 0.500, 0.299)
Al (0.000, 0.500, 0.500)
Al (0.000, 0.500, 0.701)
Al (0.000, 0.500, 0.903)

Summary:
- Total magnetic moment: 0.06 μB per formula unit
- Volume: 18.7 Å³ per atom
- Energy of formation: -424 meV per atom

=====

> What is the volume in the first record?

27.9 Å³ per atom

=====

> Which formula does entry 1 have?

CuAs7PS7Br

=====

> What is the energy of formation in the second record?

-424 meV per atom

=====

Repeat the first record exactly.
A plane-wave DFT calculation with PBE-GGA was carried out for a geometry-optimized CuAs7PS7Br structure.

abc: 13.724 9.812 14.169
angles: 83.46 90.00 90.00
Positions (direct):
Cu (0.671, 0.616, 0.286)
Cu (0.171, 0.384, 0.214)
Cu (0.329, 0.384, 0.714)
Cu (0.829, 0.616, 0.786)
As (0.551, 0.157, 0.298)
As (0.051, 0.843, 0.202)
As (0.449, 0.843, 0.702)
As (0.949, 0.157, 0.798)
As (0.400, 0.023, 0.347)
As (0.900, 0.977, 0.153)
As (0.600, 0.977, 0.653)
As (0.100, 0.023, 0.847)
As (0.445, 0.069, 0.174)
As (0.945, 0.931, 0.326)
As (0.555, 0.931, 0.826)
As (0.055, 0.069, 0.674)
As (0.756, 0.356, 0.163)
As (0.256, 0.644, 0.337)
As (0.244, 0.644, 0.837)
As (0.744, 0.356, 0.663)
As (0.861, 0.529, 0.052)
As (0.361, 0.471, 0.448)
As (0.139, 0.471, 0.948)
As (0.639, 0.529, 0.552)
As (0.613, 0.587, 0.009)
As (0.113, 0.413, 0.491)
As (0.387, 0.413, 0.991)
As (0.887, 0.587, 0.509)
As (0.672, 0.375, 0.927)
As (0.172, 0.625, 0.573)
As (0.328, 0.625, 0.073)
As (0.828, 0.375, 0.427)
P (0.589, 0.814, 0.288)
P (0.089, 0.186, 0.212)
P (0.411, 0.186, 0.712)
P (0.911, 0.814, 0.788)
S (0.665, 0.989, 0.318)
S (0.165, 0.011, 0.182)
S (0.335, 0.011, 0.682)
S (0.835, 0.989, 0.818)
S (0.470, 0.814, 0.383)
S (0.970, 0.186, 0.117)
S (0.530, 0.186, 0.617)
S (0.030, 0.814, 0.883)
S (0.526, 0.872, 0.155)
S (0.026, 0.128, 0.345)
S (0.474, 0.128, 0.845)
S (0.974, 0.872, 0.655)
S (0.618, 0.486, 0.164)
S (0.118, 0.514, 0.336)
S (0.382, 0.514, 0.836)
S (0.882, 0.486, 0.664)
S (0.698, 0.223, 0.056)
S (0.198, 0.777, 0.444)
S (0.302, 0.777, 0.944)
S (0.802, 0.223, 0.556)
S (0.833, 0.436, 0.911)
S (0.333, 0.564, 0.589)
S (0.167, 0.564, 0.089)
S (0.667, 0.436, 0.411)
S (0.754, 0.700, 0.016)
S (0.254, 0.300, 0.484)
S (0.246, 0.300, 0.984)
S (0.746, 0.700, 0.516)
Br (0.853, 0.645, 0.262)
Br (0.353, 0.355, 0.238)
Br (0.147, 0.355, 0.738)
Br (0.647, 0.645, 0.762)

Summary:
- Total magnetic moment: 0.00 μB per formula unit
- Volume: 27.9 Å³ per atom
- Energy of formation: -423 meV per atom